The following is a DFT calculation (PBE) of a relaxed structure of TbAsS.

The value obtained for the raw total energy is -36.175 eV/cell. As for the calculated formation energy: -1.720 eV/atom.

Lattice parameters (Å, degrees): 3.844 3.867 8.558 90.00 90.00 90.00
Fractional positions:
Tb 0.250 0.250 0.209
Tb 0.750 0.750 0.791
As 0.250 0.750 0.497
As 0.750 0.250 0.503
S 0.250 0.250 0.873
S 0.750 0.750 0.127